DFT (meta-GGA r2SCAN) results for an optimized crystal structure of UNi2P2.

Values from the calculation:
Energy of formation from the pure elements, eV per atom: -0.878

Geometry as POSCAR:
```
UNi2P2
1.0
3.799 0.000 0.000
0.000 3.799 0.000
0.000 0.000 9.888
U Ni P
2 4 4
Direct
0.000 0.000 0.000 U
0.500 0.500 0.500 U
0.000 0.500 0.250 Ni
0.000 0.500 0.750 Ni
0.500 0.000 0.250 Ni
0.500 0.000 0.750 Ni
0.000 0.000 0.373 P
0.000 0.000 0.627 P
0.500 0.500 0.127 P
0.500 0.500 0.873 P
```